Computed, not measured: an optimized crystal structure of Tb5Si2B8 at the PBE level of DFT.

Summary:
As for the formation energy: -64.02 kJ per mole of atoms. The space group is P4/mbm, No. 127.

a b c (Å): 7.257 7.257 8.142
angles (deg): 90.00 90.00 90.00
Fractional coordinates of all 30 atoms:
Tb 0.680 0.180 0.224
Tb 0.320 0.820 0.776
Tb 0.320 0.820 0.224
Tb 0.820 0.680 0.224
Tb 0.820 0.680 0.776
Tb 0.680 0.180 0.776
Tb 0.180 0.320 0.776
Tb 0.180 0.320 0.224
Tb 0.000 0.000 0.500
Tb 0.500 0.500 0.500
Si 0.114 0.614 0.500
Si 0.886 0.386 0.500
Si 0.386 0.114 0.500
Si 0.614 0.886 0.500
B 0.172 0.039 0.000
B 0.828 0.961 0.000
B 0.961 0.172 0.000
B 0.328 0.539 0.000
B 0.039 0.828 0.000
B 0.672 0.461 0.000
B 0.539 0.672 0.000
B 0.461 0.328 0.000
B 0.090 0.590 0.000
B 0.910 0.410 0.000
B 0.410 0.090 0.000
B 0.590 0.910 0.000
B 0.000 0.000 0.161
B 0.000 0.000 0.839
B 0.500 0.500 0.839
B 0.500 0.500 0.161

Computed, not measured: an optimized crystal structure of LiPrS2O8 at the PBE level of DFT.

Summary:
As for the polymorph energy (0 for the lowest one): 0.000 eV/atom. As for the formation energy: -244.11 kJ per mole of atoms. The space group is P2_1/c, No. 14.

a b c (Å): 6.785 7.106 13.875
angles (deg): 75.18 90.00 90.00
Fractional coordinates of all 48 atoms:
Li 0.254 0.043 0.446
Li 0.754 0.457 0.554
Li 0.246 0.543 0.446
Li 0.746 0.957 0.554
Pr 0.389 0.346 0.816
Pr 0.611 0.654 0.184
Pr 0.111 0.846 0.816
Pr 0.889 0.154 0.184
S 0.572 0.807 0.895
S 0.072 0.693 0.105
S 0.596 0.816 0.383
S 0.428 0.193 0.105
S 0.904 0.316 0.383
S 0.928 0.307 0.895
S 0.404 0.184 0.617
S 0.096 0.684 0.617
O 0.246 0.145 0.697
O 0.112 0.762 0.998
O 0.888 0.238 0.002
O 0.053 0.487 0.872
O 0.756 0.842 0.838
O 0.445 0.662 0.861
O 0.746 0.355 0.303
O 0.186 0.762 0.518
O 0.553 0.013 0.128
O 0.988 0.504 0.621
O 0.814 0.238 0.482
O 0.947 0.513 0.128
O 0.468 0.664 0.355
O 0.945 0.838 0.139
O 0.686 0.738 0.482
O 0.388 0.262 0.998
O 0.012 0.496 0.379
O 0.254 0.645 0.697
O 0.447 0.987 0.872
O 0.488 0.996 0.379
O 0.256 0.658 0.162
O 0.032 0.164 0.355
O 0.244 0.158 0.162
O 0.532 0.336 0.645
O 0.314 0.262 0.518
O 0.055 0.162 0.861
O 0.555 0.338 0.139
O 0.612 0.738 0.002
O 0.744 0.342 0.838
O 0.512 0.004 0.621
O 0.754 0.855 0.303
O 0.968 0.836 0.645

Computed, not measured: an optimized crystal structure of BaMg2H8Os at the PBE level of DFT.

Summary:
As for the formation energy: -38.93 kJ per mole of atoms. The space group is P4_2/mmc, No. 131.

a b c (Å): 4.995 4.995 10.877
angles (deg): 90.00 90.00 90.00
Fractional coordinates of all 24 atoms:
Ba 0.500 0.000 0.000
Ba 0.000 0.500 0.500
Mg 0.500 0.000 0.639
Mg 0.000 0.500 0.139
Mg 0.500 0.000 0.361
Mg 0.000 0.500 0.861
H 0.244 0.244 0.750
H 0.756 0.756 0.750
H 0.756 0.244 0.250
H 0.244 0.756 0.250
H 0.756 0.756 0.250
H 0.244 0.244 0.250
H 0.244 0.756 0.750
H 0.756 0.244 0.750
H 0.500 0.251 0.500
H 0.500 0.749 0.500
H 0.749 0.500 0.000
H 0.251 0.500 0.000
H 0.000 0.000 0.593
H 0.000 0.000 0.093
H 0.000 0.000 0.407
H 0.000 0.000 0.907
Os 0.000 0.000 0.750
Os 0.000 0.000 0.250

Computed, not measured: an optimized crystal structure of BaCu6Ge2S8 at the PBE level of DFT.

Summary:
As for the formation energy: -71.83 kJ per mole of atoms. The space group is Pbcm, No. 57.

a b c (Å): 6.138 12.060 17.656
angles (deg): 90.00 90.00 90.00
Fractional coordinates of all 68 atoms:
Ba 0.927 0.774 0.250
Ba 0.073 0.274 0.250
Ba 0.927 0.726 0.750
Ba 0.073 0.226 0.750
Cu 0.498 0.295 0.375
Cu 0.441 0.594 0.453
Cu 0.498 0.205 0.875
Cu 0.951 0.506 0.372
Cu 0.498 0.295 0.125
Cu 0.559 0.406 0.953
Cu 0.951 0.994 0.872
Cu 0.049 0.494 0.872
Cu 0.441 0.906 0.953
Cu 0.502 0.705 0.625
Cu 0.559 0.094 0.453
Cu 0.559 0.406 0.547
Cu 0.049 0.006 0.128
Cu 0.441 0.594 0.047
Cu 0.502 0.705 0.875
Cu 0.441 0.906 0.547
Cu 0.049 0.494 0.628
Cu 0.951 0.994 0.628
Cu 0.951 0.506 0.128
Cu 0.502 0.795 0.375
Cu 0.502 0.795 0.125
Cu 0.049 0.006 0.372
Cu 0.498 0.205 0.625
Cu 0.559 0.094 0.047
Ge 0.541 0.457 0.750
Ge 0.541 0.043 0.250
Ge 0.459 0.957 0.750
Ge 0.990 0.750 0.500
Ge 0.459 0.543 0.250
Ge 0.990 0.750 0.000
Ge 0.010 0.250 0.500
Ge 0.010 0.250 0.000
S 0.224 0.872 0.055
S 0.776 0.372 0.445
S 0.231 0.334 0.915
S 0.814 0.506 0.250
S 0.231 0.334 0.585
S 0.684 0.527 0.860
S 0.231 0.166 0.415
S 0.814 0.994 0.750
S 0.186 0.006 0.250
S 0.684 0.973 0.140
S 0.776 0.128 0.555
S 0.582 0.229 0.250
S 0.684 0.973 0.360
S 0.224 0.872 0.445
S 0.582 0.271 0.750
S 0.316 0.027 0.860
S 0.224 0.628 0.945
S 0.769 0.666 0.085
S 0.418 0.729 0.250
S 0.769 0.834 0.585
S 0.186 0.494 0.750
S 0.418 0.771 0.750
S 0.769 0.834 0.915
S 0.776 0.128 0.945
S 0.224 0.628 0.555
S 0.776 0.372 0.055
S 0.316 0.473 0.140
S 0.316 0.027 0.640
S 0.316 0.473 0.360
S 0.684 0.527 0.640
S 0.231 0.166 0.085
S 0.769 0.666 0.415

Computed, not measured: an optimized crystal structure of Fe3CoN at the PBE level of DFT.

Summary:
As for the formation energy: -5.77 kJ per mole of atoms. The space group is Pm-3m, No. 221.

a b c (Å): 3.675 3.675 3.675
angles (deg): 90.00 90.00 90.00
Fractional coordinates of all 5 atoms:
Fe 0.500 0.000 0.000
Fe 0.000 0.500 0.000
Fe 0.000 0.000 0.500
Co 0.500 0.500 0.500
N 0.000 0.000 0.000

Computed, not measured: an optimized crystal structure of PrCdNi4 at the PBE level of DFT.

Summary:
As for the formation energy: -25.27 kJ per mole of atoms. The space group is F-43m, No. 216.

a b c (Å): 5.067 5.067 5.067
angles (deg): 60.00 60.00 60.00
Fractional coordinates of all 6 atoms:
Pr 0.750 0.750 0.750
Cd 0.000 0.000 0.000
Ni 0.879 0.374 0.374
Ni 0.374 0.879 0.374
Ni 0.374 0.374 0.879
Ni 0.374 0.374 0.374

Computed, not measured: an optimized crystal structure of SnIrSe2 at the PBE level of DFT.

Summary:
As for the formation energy: 28.62 kJ per mole of atoms. The space group is F-43m, No. 216.

a b c (Å): 4.771 4.771 4.771
angles (deg): 60.00 60.00 60.00
Fractional coordinates of all 4 atoms:
Sn 0.750 0.750 0.750
Ir 0.500 0.500 0.500
Se 0.000 0.000 0.000
Se 0.250 0.250 0.250

Computed, not measured: an optimized crystal structure of CsAg2B15O24 at the PBE level of DFT.

Summary:
As for the formation energy: -256.50 kJ per mole of atoms. The space group is P2_12_12, No. 18.

a b c (Å): 5.192 17.992 22.429
angles (deg): 90.00 90.00 90.00
Fractional coordinates of all 168 atoms:
Cs 0.532 0.674 0.920
Cs 0.468 0.174 0.580
Cs 0.468 0.826 0.420
Cs 0.532 0.326 0.080
Ag 0.952 0.668 0.183
Ag 0.555 0.952 0.120
Ag 0.048 0.168 0.317
Ag 0.445 0.452 0.380
Ag 0.445 0.548 0.620
Ag 0.952 0.332 0.817
Ag 0.048 0.832 0.683
Ag 0.555 0.048 0.880
B 0.267 0.711 0.579
B 0.421 0.474 0.804
B 0.808 0.500 0.000
B 0.135 0.433 0.234
B 0.865 0.067 0.734
B 0.734 0.461 0.897
B 0.135 0.567 0.766
B 0.143 0.556 0.283
B 0.827 0.674 0.751
B 0.516 0.739 0.271
B 0.733 0.789 0.079
B 0.790 0.882 0.883
B 0.438 0.103 0.038
B 0.394 0.698 0.080
B 0.790 0.118 0.117
B 0.421 0.526 0.196
B 0.173 0.826 0.251
B 0.855 0.658 0.323
B 0.857 0.056 0.217
B 0.267 0.289 0.421
B 0.145 0.842 0.823
B 0.192 0.000 0.500
B 0.827 0.326 0.249
B 0.857 0.944 0.783
B 0.484 0.239 0.229
B 0.086 0.129 0.972
B 0.558 0.717 0.667
B 0.562 0.397 0.538
B 0.143 0.444 0.717
B 0.086 0.871 0.028
B 0.210 0.618 0.383
B 0.914 0.371 0.472
B 0.562 0.603 0.462
B 0.928 0.903 0.546
B 0.928 0.097 0.454
B 0.606 0.802 0.580
B 0.394 0.302 0.920
B 0.914 0.629 0.528
B 0.145 0.158 0.177
B 0.438 0.897 0.962
B 0.865 0.933 0.266
B 0.266 0.961 0.603
B 0.072 0.403 0.954
B 0.579 0.974 0.696
B 0.442 0.217 0.833
B 0.169 0.000 0.000
B 0.734 0.539 0.103
B 0.173 0.174 0.749
B 0.484 0.761 0.771
B 0.579 0.026 0.304
B 0.606 0.198 0.420
B 0.733 0.211 0.921
B 0.831 0.500 0.500
B 0.266 0.039 0.397
B 0.442 0.783 0.167
B 0.855 0.342 0.677
B 0.072 0.597 0.046
B 0.210 0.382 0.617
B 0.516 0.261 0.729
B 0.558 0.283 0.333
O 0.366 0.221 0.440
O 0.675 0.076 0.265
O 0.338 0.452 0.195
O 0.922 0.609 0.279
O 0.600 0.256 0.786
O 0.621 0.825 0.127
O 0.662 0.048 0.695
O 0.298 0.726 0.132
O 0.654 0.467 0.547
O 0.724 0.065 0.158
O 0.350 0.794 0.817
O 0.650 0.706 0.317
O 0.270 0.351 0.957
O 0.078 0.891 0.779
O 0.644 0.866 0.932
O 0.662 0.952 0.305
O 0.325 0.576 0.235
O 0.346 0.967 0.953
O 0.702 0.774 0.632
O 0.024 0.635 0.777
O 0.976 0.865 0.277
O 0.730 0.149 0.457
O 0.675 0.924 0.735
O 0.355 0.003 0.445
O 0.678 0.650 0.503
O 0.056 0.687 0.550
O 0.702 0.226 0.368
O 0.025 0.933 0.495
O 0.990 0.339 0.624
O 0.051 0.520 0.723
O 0.644 0.134 0.068
O 0.288 0.773 0.288
O 0.024 0.365 0.223
O 0.730 0.851 0.543
O 0.650 0.294 0.683
O 0.976 0.135 0.723
O 0.944 0.813 0.050
O 0.276 0.435 0.658
O 0.276 0.565 0.342
O 0.678 0.350 0.497
O 0.975 0.433 0.005
O 0.379 0.675 0.627
O 0.007 0.057 0.972
O 0.993 0.443 0.472
O 0.366 0.779 0.560
O 0.607 0.549 0.156
O 0.355 0.997 0.555
O 0.270 0.649 0.043
O 0.949 0.980 0.223
O 0.712 0.273 0.212
O 0.379 0.325 0.373
O 0.028 0.922 0.601
O 0.975 0.567 0.995
O 0.010 0.161 0.124
O 0.322 0.850 0.003
O 0.944 0.187 0.950
O 0.634 0.721 0.060
O 0.600 0.744 0.214
O 0.350 0.206 0.183
O 0.356 0.366 0.568
O 0.654 0.533 0.453
O 0.740 0.665 0.694
O 0.028 0.078 0.399
O 0.972 0.578 0.101
O 0.007 0.943 0.028
O 0.260 0.165 0.806
O 0.922 0.391 0.721
O 0.993 0.557 0.528
O 0.724 0.935 0.842
O 0.400 0.244 0.286
O 0.356 0.634 0.432
O 0.645 0.503 0.055
O 0.010 0.839 0.876
O 0.298 0.274 0.868
O 0.325 0.424 0.765
O 0.056 0.313 0.450
O 0.288 0.227 0.712
O 0.607 0.451 0.844
O 0.949 0.020 0.777
O 0.990 0.661 0.376
O 0.051 0.480 0.277
O 0.621 0.175 0.873
O 0.260 0.835 0.194
O 0.645 0.497 0.945
O 0.338 0.548 0.805
O 0.400 0.756 0.714
O 0.634 0.279 0.940
O 0.078 0.109 0.221
O 0.322 0.150 0.997
O 0.712 0.727 0.788
O 0.972 0.422 0.899
O 0.740 0.335 0.306
O 0.393 0.951 0.656
O 0.346 0.033 0.047
O 0.025 0.067 0.505
O 0.393 0.049 0.344

Computed, not measured: an optimized crystal structure of BaCaCeZrO6 at the PBE level of DFT.

Summary:
As for the polymorph energy (0 for the lowest one): 0.003 eV/atom. As for the formation energy: -345.58 kJ per mole of atoms. The space group is P-1, No. 2.

a b c (Å): 5.974 6.047 8.544
angles (deg): 90.27 90.25 90.00
Fractional coordinates of all 20 atoms:
Ba 0.507 0.532 0.250
Ba 0.493 0.468 0.750
Ca 0.993 0.037 0.252
Ca 0.007 0.963 0.748
Ce 0.000 0.500 0.000
Ce 0.500 0.000 0.500
Zr 0.500 0.000 0.000
Zr 0.000 0.500 0.500
O 0.212 0.195 0.938
O 0.285 0.703 0.529
O 0.788 0.805 0.062
O 0.715 0.297 0.471
O 0.298 0.717 0.966
O 0.191 0.208 0.559
O 0.702 0.283 0.034
O 0.809 0.792 0.441
O 0.393 0.000 0.242
O 0.065 0.435 0.259
O 0.607 0.000 0.758
O 0.935 0.565 0.741

Number 2 is which compound?
LiPrS2O8